(1)
K6Sb2H18S8O9: relaxed, PBE-GGA.

Summary:
For the volume, the calculation gives 16.4 Å³ per atom. The total energy comes out at -0.16694 hartree per atom. The space-group type is No. 7. As for the spin magnetization: 0.0 μB per cell.

Cell: 12.9269 7.8088 13.9692 Å, 90.00 90.39 90.00°
Last column: nearest neighbours and their distance in Å.
Sites, in units of the cell vectors:
K  0.0000  0.1166  0.0000  3 O 2.76-3.03, 3 H 2.83-3.09
K  0.0004  0.3800  0.6397  4 O 2.79-3.06, 3 H 2.88-3.01
K  0.0004  0.6200  0.1397  4 O 2.79-3.06, 3 H 2.88-3.01
K  0.0000  0.8834  0.5000  3 O 2.76-3.03, 3 H 2.83-3.09
K  0.3140  0.3270  0.1357  3 O 2.75-3.02, 2 H 2.91-2.99
K  0.3140  0.6730  0.6357  3 O 2.75-3.02, 2 H 2.91-2.99
K  0.4247  0.1927  0.7197  3 O 2.77-3.07, 3 H 2.95-3.00
K  0.4247  0.8073  0.2197  3 O 2.77-3.07, 3 H 2.95-3.00
K  0.5774  0.3062  0.9273  3 O 2.76-3.07, 3 H 2.97-3.00
K  0.5774  0.6938  0.4273  3 O 2.76-3.07, 3 H 2.97-3.00
K  0.6875  0.1719  0.5122  3 O 2.74-3.01, 2 H 2.90-3.01
K  0.6875  0.8281  0.0122  3 O 2.74-3.01, 2 H 2.90-3.01
Sb  0.2581  0.2460  0.4683  4 S 2.34-2.39
Sb  0.2581  0.7540  0.9683  4 S 2.34-2.39
Sb  0.7441  0.2526  0.1776  4 S 2.35-2.37
Sb  0.7441  0.7474  0.6776  4 S 2.35-2.37
H  0.0129  0.2983  0.4332  1 O 0.98
H  0.0129  0.7017  0.9332  1 O 0.98
H  0.0181  0.4245  0.8627  1 O 0.99
H  0.0181  0.5755  0.3627  1 O 0.99
H  0.1004  0.2488  0.2432  1 O 0.98
H  0.1004  0.7512  0.7432  1 O 0.98
H  0.1970  0.4185  0.7993  1 O 0.99
H  0.1970  0.5815  0.2993  1 O 0.99
H  0.2046  0.2930  0.7085  1 O 0.99
H  0.2046  0.7070  0.2085  1 O 0.99
H  0.3094  0.3324  0.9274  1 O 0.98
H  0.3094  0.6676  0.4274  1 O 0.98
H  0.3248  0.1366  0.9102  1 O 0.99
H  0.3248  0.8634  0.4102  1 O 0.99
H  0.4403  0.4253  0.3400  1 O 0.99
H  0.4403  0.5747  0.8400  1 O 0.99
H  0.4930  0.1116  0.3977  1 O 0.99
H  0.4930  0.8884  0.8977  1 O 0.99
H  0.5076  0.3885  0.2488  1 O 0.99
H  0.5076  0.6115  0.7488  1 O 0.99
H  0.5611  0.0749  0.3072  1 O 0.99
H  0.5611  0.9251  0.8072  1 O 0.99
H  0.6761  0.3625  0.7362  1 O 0.99
H  0.6761  0.6375  0.2362  1 O 0.99
H  0.6926  0.1668  0.7198  1 O 0.98
H  0.6926  0.8332  0.2198  1 O 0.98
H  0.7983  0.2053  0.9383  1 O 0.99
H  0.7983  0.7947  0.4383  1 O 0.99
H  0.8076  0.0796  0.8481  1 O 0.99
H  0.8076  0.9204  0.3481  1 O 0.99
H  0.9013  0.2461  0.4028  1 O 0.98
H  0.9011  0.4294  0.8323  1 O 0.99
H  0.9011  0.5706  0.3323  1 O 0.99
H  0.9013  0.7539  0.9028  1 O 0.98
H  0.9895  0.1950  0.2128  1 O 0.98
H  0.9895  0.8050  0.7128  1 O 0.98
S  0.1571  0.4978  0.9578  4 H 2.30-2.47, 1 Sb 2.39
S  0.1571  0.5022  0.4578  4 H 2.30-2.47, 1 Sb 2.39
S  0.1998  0.0824  0.5992  1 H 2.24, 1 Sb 2.36
S  0.1998  0.9176  0.0992  1 H 2.24, 1 Sb 2.36
S  0.2442  0.0905  0.3256  1 Sb 2.34, 2 H 2.37-2.51
S  0.2442  0.9095  0.8256  1 Sb 2.34, 2 H 2.37-2.51
S  0.4301  0.3366  0.4972  2 H 2.31-2.39, 1 Sb 2.37
S  0.4301  0.6634  0.9972  2 H 2.31-2.39, 1 Sb 2.37
S  0.5704  0.1673  0.1513  2 H 2.30-2.35, 1 Sb 2.37
S  0.5704  0.8327  0.6513  2 H 2.30-2.35, 1 Sb 2.37
S  0.7554  0.4084  0.3223  3 H 2.27-2.53, 1 Sb 2.36
S  0.7554  0.5916  0.8223  3 H 2.27-2.53, 1 Sb 2.36
S  0.7994  0.4205  0.0476  1 H 2.27, 1 Sb 2.35
S  0.7994  0.5795  0.5476  1 H 2.27, 1 Sb 2.35
S  0.8455  0.0009  0.1903  3 H 2.35-2.42, 1 Sb 2.37
S  0.8455  0.9991  0.6903  3 H 2.35-2.42, 1 Sb 2.37
O  0.0431  0.2814  0.2001  2 H 0.98
O  0.0431  0.7186  0.7001  2 H 0.98
O  0.2152  0.4122  0.7310  2 H 0.99
O  0.2152  0.5878  0.2310  2 H 0.99
O  0.3624  0.2420  0.9297  2 H 0.98-0.99
O  0.3624  0.7580  0.4297  2 H 0.98-0.99
O  0.4596  0.4731  0.2769  2 H 0.99
O  0.4596  0.5269  0.7769  2 H 0.99
O  0.5419  0.0278  0.3705  2 H 0.99
O  0.5419  0.9722  0.8705  2 H 0.99
O  0.6392  0.2566  0.7170  2 H 0.98-0.99
O  0.6392  0.7434  0.2170  2 H 0.98-0.99
O  0.7843  0.0877  0.9151  2 H 0.99
O  0.7843  0.9123  0.4151  2 H 0.99
O  0.9573  0.2169  0.4480  2 H 0.98
O  0.9573  0.7831  0.9480  2 H 0.98
O  0.9625  0.3529  0.8354  2 H 0.99
O  0.9625  0.6471  0.3354  2 H 0.99

---

(2)
K6Sb2H18S8O9: relaxed, PBE-GGA.

Summary:
For the volume, the calculation gives 16.2 Å³ per atom. The total energy comes out at -0.15343 hartree per atom. The space-group type is No. 4. As for the spin magnetization: 0.0 μB per cell.

Cell: 10.5442 11.2721 11.7863 Å, 90.00 95.30 90.00°
Last column: nearest neighbours and their distance in Å.
Sites, in units of the cell vectors:
K  0.0050  0.0000  0.1729  3 O 2.71-2.88, 2 H 2.80-3.03
K  0.0846  0.8050  0.5938  4 H 2.60-2.84, 1 O 2.69
K  0.0861  0.3290  0.1320  3 H 2.53-2.67, 3 O 2.71-2.76
K  0.3084  0.2707  0.4215  3 H 2.66-2.84, 2 O 2.72-2.77
K  0.3528  0.1593  0.8280  2 O 2.68-2.97, 2 H 2.92-2.94
K  0.3868  0.5788  0.8874  3 O 2.70-3.01, 1 H 2.73
K  0.6132  0.0788  0.1126  3 O 2.70-3.01, 1 H 2.73
K  0.6472  0.6593  0.1720  2 O 2.68-2.97, 2 H 2.92-2.94
K  0.6916  0.7707  0.5785  3 H 2.66-2.84, 2 O 2.72-2.77
K  0.9139  0.8290  0.8680  3 H 2.53-2.67, 3 O 2.71-2.76
K  0.9154  0.3050  0.4062  4 H 2.60-2.84, 1 O 2.69
K  0.9950  0.5000  0.8271  3 O 2.71-2.88, 2 H 2.80-3.03
Sb  0.1488  0.6353  0.3576  1 O 2.09
Sb  0.3266  0.9590  0.3921  2 H 1.74-1.75
Sb  0.6734  0.4590  0.6079  2 H 1.74-1.75
Sb  0.8512  0.1353  0.6424  1 O 2.09
H  0.0661  0.0665  0.9086  1 O 0.99
H  0.0944  0.2835  0.9103  1 H 0.76
H  0.1028  0.1838  0.7016  1 S 1.35
H  0.1370  0.9424  0.9006  1 O 1.00
H  0.1610  0.2984  0.9367  1 H 0.76
H  0.1800  0.8907  0.4061  1 Sb 1.75
H  0.1873  0.6081  0.6722  1 H 0.76
H  0.1981  0.6457  0.7260  1 H 0.76
H  0.2522  0.8196  0.7966  1 O 0.98
H  0.2741  0.1173  0.2304  1 O 0.99
H  0.2767  0.9567  0.0589  1 O 0.99
H  0.2823  0.6568  0.1274  1 O 1.04
H  0.2877  0.4775  0.3134  1 O 0.98
H  0.3063  0.0518  0.5067  1 Sb 1.74
H  0.3260  0.5000  0.6275  1 S 1.41
H  0.3789  0.5612  0.1704  1 O 0.98
H  0.3966  0.3443  0.0963  1 S 1.36
H  0.4102  0.7886  0.0813  1 O 1.00
H  0.5898  0.2886  0.9187  1 O 1.00
H  0.6034  0.8443  0.9037  1 S 1.36
H  0.6211  0.0612  0.8296  1 O 0.98
H  0.6740  0.0000  0.3725  1 S 1.41
H  0.6937  0.5518  0.4933  1 Sb 1.74
H  0.7123  0.9775  0.6866  1 O 0.98
H  0.7177  0.1568  0.8726  1 O 1.04
H  0.7233  0.4567  0.9411  1 O 0.99
H  0.7259  0.6173  0.7696  1 O 0.99
H  0.7478  0.3196  0.2034  1 O 0.98
H  0.8019  0.1457  0.2740  1 H 0.76
H  0.8127  0.1081  0.3278  1 H 0.76
H  0.8200  0.3907  0.5939  1 Sb 1.75
H  0.8390  0.7984  0.0633  1 H 0.76
H  0.8630  0.4424  0.0994  1 O 1.00
H  0.8972  0.6838  0.2984  1 S 1.35
H  0.9056  0.7835  0.0897  1 H 0.76
H  0.9339  0.5665  0.0914  1 O 0.99
S  0.0920  0.4308  0.5867  1 S 2.02
S  0.1008  0.0866  0.6341  1 H 1.35
S  0.1128  0.7114  0.1697  1 H 2.00
S  0.2708  0.3900  0.6513  1 H 1.41, 1 O 1.54
S  0.3594  0.2291  0.0917  1 H 1.36
S  0.3910  0.8362  0.6099  1 S 2.09
S  0.4165  0.6567  0.3846  1 S 2.06
S  0.4226  0.6612  0.5600  2 S 2.06-2.09, 1 H 2.26
S  0.5774  0.1612  0.4400  2 S 2.06-2.09, 1 H 2.26
S  0.5835  0.1567  0.6154  1 S 2.06
S  0.6090  0.3362  0.3901  1 S 2.09
S  0.6406  0.7291  0.9083  1 H 1.36
S  0.7292  0.8900  0.3487  1 H 1.41, 1 O 1.54
S  0.8872  0.2114  0.8303  1 H 2.00
S  0.8992  0.5866  0.3659  1 H 1.35
S  0.9080  0.9308  0.4133  1 S 2.02
O  0.1078  0.0021  0.9549  2 H 0.99-1.00
O  0.1399  0.7136  0.8780  1 O 1.51
O  0.1641  0.8272  0.8161  1 H 0.98
O  0.1954  0.4638  0.3082  1 H 0.98
O  0.2193  0.0868  0.2878  1 H 0.99
O  0.2838  0.3842  0.7821  1 S 1.54
O  0.3579  0.9487  0.1079  1 H 0.99
O  0.3706  0.6231  0.1124  2 H 0.98-1.04
O  0.4280  0.8640  0.0418  1 H 1.00
O  0.5720  0.3640  0.9582  1 H 1.00
O  0.6294  0.1231  0.8876  2 H 0.98-1.04
O  0.6421  0.4487  0.8921  1 H 0.99
O  0.7162  0.8842  0.2179  1 S 1.54
O  0.7807  0.5868  0.7122  1 H 0.99
O  0.8046  0.9638  0.6918  1 H 0.98
O  0.8359  0.3272  0.1839  1 H 0.98
O  0.8601  0.2136  0.1220  1 O 1.51
O  0.8922  0.5021  0.0451  2 H 0.99-1.00

---

(3)
KSmH2S2O9: relaxed, PBE-GGA.

Summary:
For the volume, the calculation gives 13.3 Å³ per atom. The total energy comes out at -0.22926 hartree per atom. The space-group type is No. 14. As for the spin magnetization: 0.0 μB per cell.

Cell: 10.1299 8.5529 10.4598 Å, 90.00 118.60 90.00°
Last column: nearest neighbours and their distance in Å.
Sites, in units of the cell vectors:
K  0.2139  0.1850  0.1924  7 O 2.80-3.01, 1 H 3.04
K  0.2139  0.3150  0.6924  7 O 2.80-3.01, 1 H 3.04
K  0.7861  0.6850  0.3076  7 O 2.80-3.01, 1 H 3.04
K  0.7861  0.8150  0.8076  7 O 2.80-3.01, 1 H 3.04
Sm  0.2611  0.6533  0.0323  7 O 2.37-2.54
Sm  0.2611  0.8467  0.5323  7 O 2.37-2.54
Sm  0.7389  0.1533  0.4677  7 O 2.37-2.54
Sm  0.7389  0.3467  0.9677  7 O 2.37-2.54
H  0.2858  0.5143  0.4469  1 O 0.98
H  0.2858  0.9857  0.9469  1 O 0.98
H  0.4079  0.5194  0.6109  1 O 0.98
H  0.4079  0.9806  0.1109  1 O 0.98
H  0.5921  0.0194  0.8891  1 O 0.98
H  0.5921  0.4806  0.3891  1 O 0.98
H  0.7142  0.0143  0.0531  1 O 0.98
H  0.7142  0.4857  0.5531  1 O 0.98
S  0.0503  0.6323  0.1776  4 O 1.48-1.50
S  0.0503  0.8677  0.6776  4 O 1.48-1.50
S  0.4846  0.6869  0.8899  4 O 1.48-1.50
S  0.4846  0.8131  0.3899  4 O 1.48-1.50
S  0.5154  0.1869  0.6101  4 O 1.48-1.50
S  0.5154  0.3131  0.1101  4 O 1.48-1.50
S  0.9497  0.1323  0.3224  4 O 1.48-1.50
S  0.9497  0.3677  0.8224  4 O 1.48-1.50
O  0.0542  0.7462  0.0704  1 S 1.50
O  0.0542  0.7538  0.5704  1 S 1.50
O  0.0711  0.7132  0.3115  1 S 1.48
O  0.0711  0.7868  0.8115  1 S 1.48
O  0.0987  0.0536  0.3877  1 S 1.49
O  0.0987  0.4464  0.8877  1 S 1.49
O  0.1753  0.5187  0.2113  1 S 1.50
O  0.1753  0.9813  0.7113  1 S 1.50
O  0.3052  0.5539  0.5423  2 H 0.98
O  0.3052  0.9461  0.0423  2 H 0.98
O  0.3395  0.6034  0.8474  1 S 1.50
O  0.3395  0.8966  0.3474  1 S 1.50
O  0.4037  0.0792  0.6171  1 S 1.49
O  0.4037  0.4208  0.1171  1 S 1.49
O  0.4586  0.6851  0.2827  1 S 1.50
O  0.4586  0.8149  0.7827  1 S 1.50
O  0.4620  0.2483  0.9623  1 S 1.48
O  0.4620  0.2517  0.4623  1 S 1.48
O  0.5380  0.7483  0.5377  1 S 1.48
O  0.5380  0.7517  0.0377  1 S 1.48
O  0.5414  0.1851  0.2173  1 S 1.50
O  0.5414  0.3149  0.7173  1 S 1.50
O  0.5963  0.5792  0.8829  1 S 1.49
O  0.5963  0.9208  0.3829  1 S 1.49
O  0.6605  0.1034  0.6526  1 S 1.50
O  0.6605  0.3966  0.1526  1 S 1.50
O  0.6948  0.0539  0.9577  2 H 0.98
O  0.6948  0.4461  0.4577  2 H 0.98
O  0.8247  0.0187  0.2887  1 S 1.50
O  0.8247  0.4813  0.7887  1 S 1.50
O  0.9013  0.5536  0.1123  1 S 1.49
O  0.9013  0.9464  0.6123  1 S 1.49
O  0.9289  0.2132  0.1885  1 S 1.48
O  0.9289  0.2868  0.6885  1 S 1.48
O  0.9458  0.2462  0.4296  1 S 1.50
O  0.9458  0.2538  0.9296  1 S 1.50